Entry from Materials Project: an optimized crystal structure of CsB3H3 (GGA-PBE).

a b c (Å): 6.8798 6.8798 6.8798
angles (deg): 60.00 60.00 60.00
Closest atoms and distances in Å follow each position.
Fractional positions:
Cs  0.2500  0.2500  0.2500  12 H 3.44, 12 B 3.65
Cs  0.7500  0.7500  0.7500  12 H 3.44, 12 B 3.65
B  0.1257  0.1257  0.8743  1 H 1.21
B  0.1257  0.8743  0.1257  1 H 1.21
B  0.1257  0.8743  0.8743  1 H 1.21
B  0.8743  0.1257  0.1257  1 H 1.21
B  0.8743  0.1257  0.8743  1 H 1.21
B  0.8743  0.8743  0.1257  1 H 1.21
H  0.2501  0.2501  0.7499  1 B 1.21
H  0.2501  0.7499  0.2501  1 B 1.21
H  0.2501  0.7499  0.7499  1 B 1.21
H  0.7499  0.2501  0.2501  1 B 1.21
H  0.7499  0.2501  0.7499  1 B 1.21
H  0.7499  0.7499  0.2501  1 B 1.21

Summary:
Crystal system: cubic
Formation enthalpy at 0 K: -0.38 eV per atom

Entry from Materials Project: an optimized crystal structure of Cs3B12H12I (GGA-PBE).

a b c (Å): 7.4697 7.4697 7.4697
angles (deg): 93.32 93.32 93.32
Closest atoms and distances in Å follow each position.
Fractional positions:
Cs  0.0000  0.5000  0.5000  10 H 3.24-3.51
Cs  0.5000  0.0000  0.5000  10 H 3.24-3.51
Cs  0.5000  0.5000  0.0000  10 H 3.24-3.51
B  0.0559  0.0559  0.2194  1 H 1.21
B  0.0559  0.2194  0.0559  1 H 1.21
B  0.1147  0.1147  0.8491  1 H 1.21
B  0.1147  0.8491  0.1147  1 H 1.21
B  0.1509  0.8853  0.8853  1 H 1.21
B  0.2194  0.0559  0.0559  1 H 1.21
B  0.7806  0.9441  0.9441  1 H 1.21
B  0.8491  0.1147  0.1147  1 H 1.21
B  0.8853  0.1509  0.8853  1 H 1.21
B  0.8853  0.8853  0.1509  1 H 1.21
B  0.9441  0.7806  0.9441  1 H 1.21
B  0.9441  0.9441  0.7806  1 H 1.21
H  0.0957  0.0957  0.3760  1 B 1.21
H  0.0957  0.3760  0.0957  1 B 1.21
H  0.1973  0.1973  0.7426  1 B 1.21
H  0.1973  0.7426  0.1973  1 B 1.21
H  0.2574  0.8027  0.8027  1 B 1.21
H  0.3760  0.0957  0.0957  1 B 1.21
H  0.6240  0.9043  0.9043  1 B 1.21
H  0.7426  0.1973  0.1973  1 B 1.21
H  0.8027  0.2574  0.8027  1 B 1.21
H  0.8027  0.8027  0.2574  1 B 1.21
H  0.9043  0.6240  0.9043  1 B 1.21
H  0.9043  0.9043  0.6240  1 B 1.21
I  0.5000  0.5000  0.5000  6 H 3.72, 6 Cs 3.73

Summary:
Crystal system: trigonal
Formation enthalpy at 0 K: -0.48 eV per atom

Entry from Materials Project: an optimized crystal structure of CsNaB10H4O18 (GGA-PBE).

a b c (Å): 7.7706 9.1024 12.0467
angles (deg): 90.00 115.61 90.00
Closest atoms and distances in Å follow each position.
Fractional positions:
Cs  0.0000  0.1741  0.0000  9 O 3.10-3.40
Cs  0.0000  0.8259  0.5000  9 O 3.10-3.40
Na  0.5490  0.4155  0.9960  4 O 2.32-2.59
Na  0.5490  0.5845  0.4960  4 O 2.32-2.59
B  0.0382  0.2657  0.3317  3 O 1.35-1.40
B  0.0382  0.7343  0.8317  3 O 1.35-1.40
B  0.1868  0.4557  0.7190  3 O 1.36-1.40
B  0.1868  0.5443  0.2190  3 O 1.36-1.40
B  0.2410  0.0469  0.3287  3 O 1.35-1.40
B  0.2410  0.9531  0.8287  3 O 1.35-1.40
B  0.4091  0.1486  0.7827  3 O 1.36-1.39
B  0.4091  0.8514  0.2827  3 O 1.36-1.39
B  0.4942  0.0848  0.9999  4 O 1.48-1.49
B  0.4942  0.9152  0.4999  4 O 1.48-1.49
B  0.5790  0.1495  0.2162  3 O 1.36-1.39
B  0.5790  0.8505  0.7162  3 O 1.36-1.39
B  0.7464  0.0468  0.6711  3 O 1.35-1.40
B  0.7464  0.9532  0.1711  3 O 1.35-1.40
B  0.8012  0.4572  0.2819  3 O 1.36-1.40
B  0.8012  0.5428  0.7819  3 O 1.36-1.40
B  0.9497  0.2651  0.6688  3 O 1.36-1.40
B  0.9497  0.7349  0.1688  3 O 1.36-1.40
B  0.9935  0.3918  0.5006  4 O 1.47-1.50
B  0.9935  0.6082  0.0006  4 O 1.47-1.50
H  0.3467  0.2176  0.6117  1 O 0.98
H  0.3467  0.7824  0.1117  1 O 0.98
H  0.3921  0.3883  0.2907  1 O 0.99
H  0.3921  0.6117  0.7907  1 O 0.99
H  0.5918  0.3887  0.7058  1 O 0.99
H  0.5918  0.6113  0.2058  1 O 0.99
H  0.6406  0.2158  0.3875  1 O 0.98
H  0.6406  0.7842  0.8875  1 O 0.98
O  0.1013  0.3437  0.7572  2 B 1.40
O  0.1013  0.6563  0.2572  2 B 1.40
O  0.1015  0.2935  0.4535  2 B 1.35-1.50
O  0.1015  0.7065  0.9535  2 B 1.35-1.50
O  0.1094  0.1585  0.2809  2 B 1.38-1.39
O  0.1094  0.8415  0.7809  2 B 1.38-1.39
O  0.1292  0.4870  0.5979  2 B 1.36-1.47
O  0.1292  0.5130  0.0979  2 B 1.36-1.47
O  0.2804  0.0321  0.7421  2 B 1.39-1.40
O  0.2804  0.9679  0.2421  2 B 1.39-1.40
O  0.3238  0.0104  0.4494  2 B 1.35-1.48
O  0.3238  0.9896  0.9494  2 B 1.35-1.48
O  0.3306  0.4699  0.3142  1 H 0.99
O  0.3306  0.5301  0.8142  1 H 0.99
O  0.4367  0.2362  0.6976  1 H 0.98
O  0.4367  0.7638  0.1976  1 H 0.98
O  0.4808  0.1823  0.0943  2 B 1.36-1.48
O  0.4808  0.8177  0.5943  2 B 1.36-1.48
O  0.5101  0.1805  0.9047  2 B 1.36-1.49
O  0.5101  0.8195  0.4047  2 B 1.36-1.49
O  0.5511  0.2362  0.3017  1 H 0.98
O  0.5511  0.7638  0.8017  1 H 0.98
O  0.6608  0.4677  0.6857  1 H 0.99
O  0.6608  0.5323  0.1857  1 H 0.99
O  0.6637  0.0112  0.5502  2 B 1.35-1.48
O  0.6637  0.9888  0.0502  2 B 1.35-1.48
O  0.7069  0.0323  0.2574  2 B 1.39-1.40
O  0.7069  0.9677  0.7574  2 B 1.39-1.40
O  0.8545  0.4870  0.4029  2 B 1.36-1.48
O  0.8545  0.5130  0.9029  2 B 1.36-1.48
O  0.8782  0.1579  0.7193  2 B 1.38-1.39
O  0.8782  0.8421  0.2193  2 B 1.38-1.39
O  0.8840  0.2935  0.5467  2 B 1.36-1.50
O  0.8840  0.7065  0.0467  2 B 1.36-1.50
O  0.8873  0.3459  0.2433  2 B 1.40
O  0.8873  0.6541  0.7433  2 B 1.40

Summary:
Crystal system: monoclinic
Formation enthalpy at 0 K: -2.56 eV per atom

no.,total magnetization (Bohr magnetons per cell),DFT total energy (eV per atom)
1,0.000,-4.7524
2,0.001,-4.9335
3,0.001,-7.2437